Record 1
TbAgAs2 | PBE | optimized geometry

Computed properties:
The electronic total energy comes out at -4.952 eV per atom. The calculation puts the energy relative to the elements at -0.76 eV per atom. Its space group is P4/nmm. The volume comes out at 20.9 A^3/atom.

a = 3.994 Å, b = 3.994 Å, c = 10.482 Å
α = 90.00°, β = 90.00°, γ = 90.00°
Fractional coordinates of all 8 atoms:
Tb1 0.250 0.250 0.228
Tb2 0.750 0.750 0.772
Ag1 0.250 0.750 0.500
Ag2 0.750 0.250 0.500
As1 0.250 0.250 0.687
As2 0.250 0.750 0.000
As3 0.750 0.250 0.000
As4 0.750 0.750 0.313


Record 2
TbAgAs2 | PBE | optimized geometry

Computed properties:
The total magnetization is 0.0 μB/f.u. The electronic total energy comes out at -4.952 eV per atom. The calculation puts the energy relative to the elements at -0.76 eV per atom. Its space group is Pnma. The volume comes out at 21.0 A^3/atom.

a = 21.018 Å, b = 3.978 Å, c = 4.013 Å
α = 90.00°, β = 90.00°, γ = 90.00°
Fractional coordinates of all 16 atoms:
Tb1 0.114 0.250 0.232
Tb2 0.386 0.750 0.732
Tb3 0.614 0.250 0.268
Tb4 0.886 0.750 0.768
Ag1 0.250 0.250 0.730
Ag2 0.250 0.750 0.230
Ag3 0.750 0.250 0.770
Ag4 0.750 0.750 0.270
As1 0.001 0.250 0.719
As2 0.156 0.750 0.731
As3 0.344 0.250 0.231
As4 0.499 0.750 0.219
As5 0.501 0.250 0.781
As6 0.656 0.750 0.769
As7 0.844 0.250 0.269
As8 0.999 0.750 0.281


Record 3
TbZnAgAs2 | PBE | optimized geometry

Computed properties:
The total magnetization is 0.0 μB/f.u. The electronic total energy comes out at -4.230 eV per atom. The calculation puts the energy relative to the elements at -0.62 eV per atom. Its space group is P3m1. The volume comes out at 21.7 A^3/atom.

a = 4.265 Å, b = 4.265 Å, c = 6.891 Å
α = 90.00°, β = 90.00°, γ = 120.00°
Fractional coordinates of all 5 atoms:
Tb1 0.000 0.000 0.000
Zn1 0.667 0.333 0.392
Ag1 0.333 0.667 0.649
As1 0.333 0.667 0.256
As2 0.667 0.333 0.781


Record 4
Ag3Au | PBE | optimized geometry

Computed properties:
The electronic total energy comes out at -2.983 eV per atom. The calculation puts the energy relative to the elements at -0.04 eV per atom. Its space group is I4/mmm. The volume comes out at 18.0 A^3/atom.

a = 4.174 Å, b = 4.174 Å, c = 8.285 Å
α = 90.00°, β = 90.00°, γ = 90.00°
Fractional coordinates of all 8 atoms:
Ag1 0.000 0.000 0.000
Ag2 0.000 0.500 0.250
Ag3 0.000 0.500 0.750
Ag4 0.500 0.000 0.250
Ag5 0.500 0.000 0.750
Ag6 0.500 0.500 0.500
Au1 0.000 0.000 0.500
Au2 0.500 0.500 0.000


Record 5
Ag3Au | PBE | optimized geometry

Computed properties:
The electronic total energy comes out at -2.982 eV per atom. The calculation puts the energy relative to the elements at -0.04 eV per atom. Its space group is Pm-3m. The volume comes out at 18.0 A^3/atom.

a = 4.162 Å, b = 4.162 Å, c = 4.162 Å
α = 90.00°, β = 90.00°, γ = 90.00°
Fractional coordinates of all 4 atoms:
Ag1 0.000 0.000 0.500
Ag2 0.000 0.500 0.000
Ag3 0.500 0.000 0.000
Au1 0.500 0.500 0.500


Record 6
Ag3Au | PBE | optimized geometry

Computed properties:
The electronic total energy comes out at -2.975 eV per atom. The calculation puts the energy relative to the elements at -0.03 eV per atom. Its space group is P6_3/mmc. The volume comes out at 18.1 A^3/atom.

a = 5.890 Å, b = 5.890 Å, c = 4.828 Å
α = 90.00°, β = 90.00°, γ = 120.00°
Fractional coordinates of all 8 atoms:
Ag1 0.166 0.333 0.250
Ag2 0.166 0.834 0.250
Ag3 0.333 0.166 0.750
Ag4 0.667 0.834 0.250
Ag5 0.834 0.166 0.750
Ag6 0.834 0.667 0.750
Au1 0.333 0.667 0.750
Au2 0.667 0.333 0.250


Record 7
Ba4AgAuO6 | PBE | optimized geometry

Computed properties:
The total magnetization is 0.0 μB/f.u. The electronic total energy comes out at -5.477 eV per atom. The calculation puts the energy relative to the elements at -2.20 eV per atom. Its space group is Cmcm. The volume comes out at 19.2 A^3/atom.

a = 7.325 Å, b = 7.325 Å, c = 11.632 Å
α = 90.00°, β = 90.00°, γ = 47.50°
Fractional coordinates of all 24 atoms:
Ba1 0.146 0.146 0.000
Ba2 0.146 0.146 0.500
Ba3 0.287 0.421 0.750
Ba4 0.421 0.287 0.250
Ba5 0.579 0.713 0.750
Ba6 0.713 0.579 0.250
Ba7 0.854 0.854 0.000
Ba8 0.854 0.854 0.500
Ag1 0.097 0.903 0.250
Ag2 0.903 0.097 0.750
Au1 0.500 0.500 0.000
Au2 0.500 0.500 0.500
O1 0.059 0.261 0.750
O2 0.230 0.770 0.609
O3 0.230 0.770 0.891
O4 0.261 0.059 0.250
O5 0.345 0.345 0.000
O6 0.345 0.345 0.500
O7 0.655 0.655 0.000
O8 0.655 0.655 0.500
O9 0.739 0.941 0.750
O10 0.770 0.230 0.109
O11 0.770 0.230 0.391
O12 0.941 0.739 0.250


Record 8
Cs2AgAuBr6 | PBE | optimized geometry

Computed properties:
The total magnetization is 0.0 μB/f.u. The electronic total energy comes out at -2.658 eV per atom. The calculation puts the energy relative to the elements at -1.21 eV per atom. Its space group is Fm-3m. The volume comes out at 33.1 A^3/atom.

a = 7.763 Å, b = 7.763 Å, c = 7.763 Å
α = 60.00°, β = 60.00°, γ = 60.00°
Fractional coordinates of all 10 atoms:
Cs1 0.250 0.250 0.250
Cs2 0.750 0.750 0.750
Ag1 0.000 0.000 0.000
Au1 0.500 0.500 0.500
Br1 0.253 0.253 0.747
Br2 0.253 0.747 0.253
Br3 0.253 0.747 0.747
Br4 0.747 0.253 0.253
Br5 0.747 0.253 0.747
Br6 0.747 0.747 0.253


Record 9
K2AgAuBr6 | PBE | optimized geometry

Computed properties:
The total magnetization is 0.0 μB/f.u. The electronic total energy comes out at -2.640 eV per atom. The calculation puts the energy relative to the elements at -1.15 eV per atom. Its space group is Fm-3m. The volume comes out at 31.8 A^3/atom.

a = 7.661 Å, b = 7.661 Å, c = 7.661 Å
α = 60.00°, β = 60.00°, γ = 60.00°
Fractional coordinates of all 10 atoms:
K1 0.250 0.250 0.250
K2 0.750 0.750 0.750
Ag1 0.000 0.000 0.000
Au1 0.500 0.500 0.500
Br1 0.252 0.252 0.748
Br2 0.252 0.748 0.252
Br3 0.252 0.748 0.748
Br4 0.748 0.252 0.252
Br5 0.748 0.252 0.748
Br6 0.748 0.748 0.252


Record 10
Na2AgAuBr6 | PBE | optimized geometry

Computed properties:
The total magnetization is 0.0 μB/f.u. The electronic total energy comes out at -2.494 eV per atom. The calculation puts the energy relative to the elements at -0.96 eV per atom. Its space group is Fm-3m. The volume comes out at 31.1 A^3/atom.

a = 7.605 Å, b = 7.605 Å, c = 7.605 Å
α = 60.00°, β = 60.00°, γ = 60.00°
Fractional coordinates of all 10 atoms:
Na1 0.250 0.250 0.250
Na2 0.750 0.750 0.750
Ag1 0.000 0.000 0.000
Au1 0.500 0.500 0.500
Br1 0.252 0.252 0.748
Br2 0.252 0.748 0.252
Br3 0.252 0.748 0.748
Br4 0.748 0.252 0.252
Br5 0.748 0.252 0.748
Br6 0.748 0.748 0.252


Record 11
Rb2AgAuBr6 | PBE | optimized geometry

Computed properties:
The electronic total energy comes out at -2.645 eV per atom. The calculation puts the energy relative to the elements at -1.18 eV per atom. Its space group is Fm-3m. The volume comes out at 32.3 A^3/atom.

a = 7.699 Å, b = 7.699 Å, c = 7.699 Å
α = 60.00°, β = 60.00°, γ = 60.00°
Fractional coordinates of all 10 atoms:
Rb1 0.250 0.250 0.250
Rb2 0.750 0.750 0.750
Ag1 0.000 0.000 0.000
Au1 0.500 0.500 0.500
Br1 0.252 0.252 0.748
Br2 0.252 0.748 0.252
Br3 0.252 0.748 0.748
Br4 0.748 0.252 0.252
Br5 0.748 0.252 0.748
Br6 0.748 0.748 0.252


Record 12
Ca2AgAu | PBE | optimized geometry

Computed properties:
The electronic total energy comes out at -3.088 eV per atom. The calculation puts the energy relative to the elements at -0.56 eV per atom. Its space group is Fm-3m. The volume comes out at 24.8 A^3/atom.

a = 7.348 Å, b = 7.348 Å, c = 7.348 Å
α = 90.00°, β = 90.00°, γ = 90.00°
Fractional coordinates of all 16 atoms:
Ca1 0.250 0.250 0.250
Ca2 0.250 0.250 0.750
Ca3 0.250 0.750 0.250
Ca4 0.250 0.750 0.750
Ca5 0.750 0.250 0.250
Ca6 0.750 0.250 0.750
Ca7 0.750 0.750 0.250
Ca8 0.750 0.750 0.750
Ag1 0.000 0.000 0.000
Ag2 0.000 0.500 0.500
Ag3 0.500 0.000 0.500
Ag4 0.500 0.500 0.000
Au1 0.000 0.000 0.500
Au2 0.000 0.500 0.000
Au3 0.500 0.000 0.000
Au4 0.500 0.500 0.500